No. 1
Density functional theory data (GGA-PBE) for a relaxed MgAu3 crystal.

Calculated values
DFT total energy	-12.99	eV/cell
formation energy from the elements	-391	meV/atom

Unit cell a=4.1496 b=4.1496 c=4.1496 alpha=90.00 beta=90.00 gamma=90.00
Space group Pm-3m (No. 221)
Symmetry-distinct sites (fractional):
Mg 0.0000 0.0000 0.0000 [1 per cell]
Au 0.0000 0.5000 0.5000 [3 per cell]

No. 2
Density functional theory data (GGA-PBE) for a relaxed MgAuN crystal.

Calculated values
total moment	0.00	μB/atom
DFT total energy	-52.96	eV/cell
formation energy from the elements	-131	meV/atom

Unit cell a=10.1493 b=3.2150 c=5.3604 alpha=90.00 beta=90.00 gamma=90.00
Space group Pnma (No. 62)
Symmetry-distinct sites (fractional):
Mg 0.1735 0.2500 0.1303 [4 per cell]
Au 0.0631 0.2500 0.6526 [4 per cell]
N 0.1652 0.7500 0.8746 [4 per cell]

No. 3
Density functional theory data (GGA-PBE) for a relaxed MgAuO2 crystal.

Calculated values
total moment	0.00	μB/atom
DFT total energy	-80.48	eV/cell
formation energy from the elements	-1681	meV/atom

Unit cell a=5.7486 b=11.3247 c=3.0824 alpha=90.00 beta=90.00 gamma=90.00
Space group Cmmm (No. 65)
Symmetry-distinct sites (fractional):
Mg 0.2500 0.2500 0.0000 [4 per cell]
Au 0.0000 0.0000 0.5000 [2 per cell]
Au 0.0000 0.5000 0.5000 [2 per cell]
O 0.0000 0.1186 0.0000 [4 per cell]
O 0.0000 0.3124 0.5000 [4 per cell]

No. 4
Density functional theory data (GGA-PBE) for a relaxed MgAu2S4O16 crystal.

Calculated values
total moment	0.00	μB/atom
DFT total energy	-1047.62	eV/cell
formation energy from the elements	-1656	meV/atom

Unit cell a=14.7305 b=17.1102 c=10.5550 alpha=90.00 beta=90.00 gamma=90.00
Space group Fdd2 (No. 43)
Symmetry-distinct sites (fractional):
Mg 0.0000 0.0000 0.0000 [8 per cell]
Au 0.0940 0.3777 0.9502 [16 per cell]
S 0.0558 0.3723 0.2394 [16 per cell]
S 0.1122 0.1189 0.4061 [16 per cell]
O 0.0294 0.1732 0.4282 [16 per cell]
O 0.0304 0.1767 0.7218 [16 per cell]
O 0.0491 0.4251 0.3467 [16 per cell]
O 0.0636 0.4223 0.6267 [16 per cell]
O 0.0658 0.4258 0.1234 [16 per cell]
O 0.0934 0.0569 0.3181 [16 per cell]
O 0.1213 0.0654 0.9945 [16 per cell]
O 0.1210 0.3262 0.7828 [16 per cell]

No. 5
Density functional theory data (GGA-PBE) for a relaxed SmMgAu2 crystal.

Calculated values
DFT total energy	-63.52	eV/cell
formation energy from the elements	-754	meV/atom

Unit cell a=7.0541 b=7.0541 c=7.0541 alpha=90.00 beta=90.00 gamma=90.00
Space group Fm-3m (No. 225)
Symmetry-distinct sites (fractional):
Sm 0.0000 0.0000 0.0000 [4 per cell]
Mg 0.0000 0.0000 0.5000 [4 per cell]
Au 0.2500 0.2500 0.2500 [8 per cell]

No. 6
Density functional theory data (GGA-PBE) for a relaxed TbMgAu crystal.

Calculated values
DFT total energy	-34.68	eV/cell
formation energy from the elements	-683	meV/atom

Unit cell a=7.6826 b=7.6826 c=4.0815 alpha=90.00 beta=90.00 gamma=120.00
Space group P-62m (No. 189)
Symmetry-distinct sites (fractional):
Tb 0.0000 0.5908 0.0000 [3 per cell]
Mg 0.0000 0.2483 0.5000 [3 per cell]
Au 0.0000 0.0000 0.0000 [1 per cell]
Au 0.3333 0.6667 0.5000 [2 per cell]